1.
Here is crystalline Mn3InN3 at its relaxed geometry from Materials Project. Energies are from PBE.

Lattice parameters (Å, degrees): 8.733 2.975 8.739 90.00 119.97 90.00
Atoms (fractional coordinates):
Mn 0.151 0.250 0.344
Mn 0.192 0.250 0.849
Mn 0.343 0.750 0.192
Mn 0.657 0.250 0.808
Mn 0.808 0.750 0.151
Mn 0.849 0.750 0.656
In 0.334 0.750 0.667
In 0.666 0.250 0.333
N 0.030 0.750 0.324
N 0.294 0.750 0.970
N 0.323 0.250 0.294
N 0.677 0.750 0.706
N 0.706 0.250 0.030
N 0.970 0.250 0.676

Summary:
As for the space-group type: No. 11. As for the calculated total energy: -109.2 eV/cell. As for the crystal system: monoclinic. Its magnetic moment is 0.00 μB/f.u. For the formation energy, the calculation gives -0.4 eV per formula unit.

2.
Here is crystalline Rb3Os2Br9 at its relaxed geometry from Materials Project. Energies are from PBE.

Lattice parameters (Å, degrees): 7.641 7.641 18.549 90.00 90.00 120.00
Atoms (fractional coordinates):
Rb 0.000 0.000 0.250
Rb 0.000 0.000 0.750
Rb 0.333 0.667 0.063
Rb 0.333 0.667 0.437
Rb 0.667 0.333 0.563
Rb 0.667 0.333 0.937
Os 0.333 0.667 0.676
Os 0.333 0.667 0.824
Os 0.667 0.333 0.176
Os 0.667 0.333 0.324
Br 0.009 0.504 0.750
Br 0.179 0.357 0.597
Br 0.179 0.357 0.903
Br 0.179 0.821 0.597
Br 0.179 0.821 0.903
Br 0.357 0.179 0.097
Br 0.357 0.179 0.403
Br 0.496 0.504 0.750
Br 0.496 0.991 0.750
Br 0.504 0.009 0.250
Br 0.504 0.496 0.250
Br 0.643 0.821 0.597
Br 0.643 0.821 0.903
Br 0.821 0.179 0.097
Br 0.821 0.179 0.403
Br 0.821 0.643 0.097
Br 0.821 0.643 0.403
Br 0.991 0.496 0.250

Summary:
As for the space-group type: No. 194. As for the calculated total energy: -103.5 eV/cell. As for the crystal system: hexagonal. For the formation energy, the calculation gives -16.4 eV per formula unit.

3.
Here is crystalline KNbF6 at its relaxed geometry from Materials Project. Energies are from PBE.

Lattice parameters (Å, degrees): 5.353 5.353 10.060 90.00 90.00 90.00
Atoms (fractional coordinates):
K 0.000 0.000 0.000
K 0.000 0.000 0.500
Nb 0.500 0.500 0.250
Nb 0.500 0.500 0.750
F 0.242 0.242 0.250
F 0.242 0.758 0.750
F 0.308 0.329 0.614
F 0.308 0.671 0.114
F 0.329 0.308 0.886
F 0.329 0.692 0.386
F 0.671 0.308 0.386
F 0.671 0.692 0.886
F 0.692 0.329 0.114
F 0.692 0.671 0.614
F 0.758 0.242 0.750
F 0.758 0.758 0.250

Summary:
As for the space-group type: No. 116. As for the calculated total energy: -94.5 eV/cell. As for the crystal system: tetragonal. Its magnetic moment is 0.00 μB/f.u. For the formation energy, the calculation gives -27.3 eV per formula unit.

4.
Here is crystalline Bi at its relaxed geometry from Materials Project. Energies are from PBE.

Lattice parameters (Å, degrees): 6.502 6.502 6.904 90.00 90.00 63.14
Atoms (fractional coordinates):
Bi 0.167 0.833 0.833
Bi 0.204 0.204 0.500
Bi 0.296 0.296 0.000
Bi 0.333 0.667 0.333
Bi 0.667 0.333 0.667
Bi 0.704 0.704 0.000
Bi 0.796 0.796 0.500
Bi 0.833 0.167 0.167

Summary:
As for the space-group type: No. 64. As for the calculated total energy: -30.3 eV/cell. As for the crystal system: orthorhombic. Its magnetic moment is 0.00 μB/f.u. For the energy above the lowest structure with this stoichiometry, the calculation gives 101 meV/atom. For the formation energy, the calculation gives 0.1 eV per formula unit.

5.
Here is crystalline SiO2 at its relaxed geometry from Materials Project. Energies are from PBE.

Lattice parameters (Å, degrees): 12.570 12.570 12.570 144.90 109.82 80.96
Atoms (fractional coordinates):
Si 0.041 0.032 0.597
Si 0.041 0.444 0.009
Si 0.050 0.050 0.000
Si 0.151 0.850 0.301
Si 0.169 0.462 0.293
Si 0.169 0.875 0.707
Si 0.203 0.000 0.203
Si 0.394 0.388 0.593
Si 0.394 0.801 0.005
Si 0.421 0.921 0.500
Si 0.435 0.032 0.991
Si 0.435 0.444 0.403
Si 0.540 0.334 0.794
Si 0.540 0.746 0.206
Si 0.550 0.850 0.699
Si 0.795 0.388 0.995
Si 0.795 0.801 0.407
Si 0.797 0.000 0.797
O 0.053 0.259 0.794
O 0.082 0.629 0.100
O 0.082 0.981 0.452
O 0.091 0.000 0.091
O 0.098 0.275 0.177
O 0.098 0.921 0.823
O 0.124 0.464 0.158
O 0.124 0.966 0.660
O 0.146 0.646 0.500
O 0.156 0.920 0.237
O 0.280 0.216 0.416
O 0.280 0.863 0.064
O 0.280 0.871 0.410
O 0.306 0.464 0.340
O 0.306 0.966 0.842
O 0.356 0.576 0.779
O 0.443 0.424 0.518
O 0.443 0.924 0.018
O 0.461 0.871 0.590
O 0.466 0.259 0.206
O 0.469 0.145 0.676
O 0.469 0.793 0.324
O 0.496 0.337 0.659
O 0.496 0.837 0.159
O 0.516 0.516 0.000
O 0.529 0.629 0.548
O 0.529 0.981 0.900
O 0.678 0.337 0.841
O 0.678 0.837 0.341
O 0.683 0.920 0.763
O 0.797 0.576 0.221
O 0.799 0.216 0.936
O 0.799 0.863 0.584
O 0.906 0.424 0.982
O 0.906 0.924 0.482
O 0.909 0.000 0.909

Summary:
As for the space-group type: No. 44. As for the calculated total energy: -426.8 eV/cell. As for the crystal system: orthorhombic. For the formation energy, the calculation gives -9.8 eV per formula unit.

6.
Here is crystalline PmTmCu2 at its relaxed geometry from Materials Project. Energies are from PBE.

Lattice parameters (Å, degrees): 5.001 5.001 5.001 60.00 60.00 60.00
Atoms (fractional coordinates):
Pm 0.000 0.000 0.000
Tm 0.500 0.500 0.500
Cu 0.250 0.250 0.250
Cu 0.750 0.750 0.750

Summary:
As for the space-group type: No. 225. As for the calculated total energy: -18.3 eV/cell. As for the crystal system: cubic. For the formation energy, the calculation gives -0.8 eV per formula unit.

7.
Here is crystalline BaCuO2 at its relaxed geometry from Materials Project. Energies are from PBE.

Lattice parameters (Å, degrees): 5.745 11.731 3.768 90.00 90.00 90.00
Atoms (fractional coordinates):
Ba 0.013 0.137 0.499
Ba 0.487 0.637 0.501
Ba 0.513 0.363 0.501
Ba 0.987 0.863 0.499
Cu 0.007 0.376 0.000
Cu 0.493 0.876 0.000
Cu 0.507 0.124 0.000
Cu 0.993 0.624 0.000
O 0.229 0.502 0.000
O 0.241 0.752 0.000
O 0.259 0.252 0.000
O 0.271 0.002 0.000
O 0.729 0.998 0.000
O 0.741 0.748 0.000
O 0.759 0.248 0.000
O 0.771 0.498 0.000

Summary:
As for the space-group type: No. 18. As for the calculated total energy: -88.2 eV/cell. As for the crystal system: orthorhombic. Its magnetic moment is 0.00 μB/f.u. For the formation energy, the calculation gives -7.5 eV per formula unit.

8.
Here is crystalline Sr3TiSi4H2O13 at its relaxed geometry from Materials Project. Energies are from PBE.

Lattice parameters (Å, degrees): 7.779 7.729 11.160 90.00 102.97 90.00
Atoms (fractional coordinates):
Sr 0.110 0.250 0.234
Sr 0.156 0.750 0.389
Sr 0.222 0.250 0.913
Sr 0.778 0.750 0.087
Sr 0.844 0.250 0.611
Sr 0.890 0.750 0.766
Ti 0.500 0.000 0.500
Ti 0.500 0.500 0.500
Si 0.242 0.543 0.702
Si 0.242 0.957 0.702
Si 0.373 0.545 0.196
Si 0.373 0.955 0.196
Si 0.627 0.045 0.804
Si 0.627 0.455 0.804
Si 0.758 0.043 0.298
Si 0.758 0.457 0.298
H 0.092 0.750 0.000
H 0.108 0.250 0.481
H 0.892 0.750 0.519
H 0.908 0.250 0.000
O 0.067 0.045 0.731
O 0.067 0.455 0.731
O 0.226 0.750 0.738
O 0.248 0.062 0.089
O 0.248 0.438 0.089
O 0.274 0.525 0.563
O 0.274 0.975 0.563
O 0.310 0.750 0.189
O 0.348 0.026 0.330
O 0.348 0.474 0.330
O 0.412 0.042 0.805
O 0.412 0.458 0.805
O 0.494 0.750 0.476
O 0.506 0.250 0.524
O 0.588 0.542 0.195
O 0.588 0.958 0.195
O 0.652 0.526 0.670
O 0.652 0.974 0.670
O 0.690 0.250 0.811
O 0.726 0.025 0.437
O 0.726 0.475 0.437
O 0.752 0.562 0.911
O 0.752 0.938 0.911
O 0.774 0.250 0.262
O 0.933 0.545 0.269
O 0.933 0.955 0.269

Summary:
As for the space-group type: No. 11. As for the calculated total energy: -326.5 eV/cell. As for the crystal system: monoclinic. Its magnetic moment is 2.00 μB/f.u. For the formation energy, the calculation gives -66.4 eV per formula unit.

Question: Which formula does entry 5 have?
Answer: SiO2